Material: MgFe4Ni2O8
Method: DFT, GGA+U
State: optimized geometry Values from VASP.

Calculated values
* total energy: -5.513 eV/atom
* E (MP2020): -6.820 eV/atom
* E above lowest polymorph: 0.449 eV/atom
* ΔH_f (0 K): -1.05 eV/atom

Geometry as Quantum ESPRESSO input:
```
&SYSTEM
  ibrav = 0, nat = 15, ntyp = 4
/
ATOMIC_SPECIES
Mg 24.30 Mg.upf
Fe 55.84 Fe.upf
Ni 58.69 Ni.upf
O 16.00 O.upf
ATOMIC_POSITIONS crystal
Mg 0.0000 0.0000 0.0000
Fe 0.0000 0.5000 0.0000
Fe 0.1511 0.1511 0.4606
Fe 0.5000 0.0000 0.0000
Fe 0.8489 0.8489 0.5394
Ni 0.5000 0.5000 0.0000
Ni 0.5000 0.5000 0.5000
O 0.2403 0.7387 0.2350
O 0.2455 0.2455 0.2276
O 0.2613 0.7597 0.7650
O 0.2650 0.2650 0.8221
O 0.7350 0.7350 0.1779
O 0.7387 0.2403 0.2350
O 0.7545 0.7545 0.7724
O 0.7597 0.2613 0.7650
CELL_PARAMETERS angstrom
5.0241 -2.9229 0.0000
5.0241 2.9229 0.0000
-3.4611 0.0000 5.2666
```

Material: Mg14FeNiO16
Method: DFT, GGA+U
State: optimized geometry Values from VASP.

Calculated values
* total energy: -5.954 eV/atom
* E (MP2020): -6.448 eV/atom
* E above lowest polymorph: 0.000 eV/atom
* ΔH_f (0 K): -2.83 eV/atom

Geometry as Quantum ESPRESSO input:
```
&SYSTEM
  ibrav = 0, nat = 32, ntyp = 4
/
ATOMIC_SPECIES
Mg 24.30 Mg.upf
Fe 55.84 Fe.upf
Ni 58.69 Ni.upf
O 16.00 O.upf
ATOMIC_POSITIONS crystal
Mg 0.0000 0.0000 0.0000
Mg 0.0000 0.2495 0.2493
Mg 0.0000 0.2495 0.7507
Mg 0.0000 0.5000 0.0000
Mg 0.0000 0.7505 0.2493
Mg 0.0000 0.7505 0.7507
Mg 0.5000 0.0000 0.2509
Mg 0.5000 0.0000 0.7491
Mg 0.5000 0.2487 0.5000
Mg 0.5000 0.2502 0.0000
Mg 0.5000 0.5000 0.2506
Mg 0.5000 0.5000 0.7494
Mg 0.5000 0.7498 0.0000
Mg 0.5000 0.7513 0.5000
Fe 0.0000 0.5000 0.5000
Ni 0.0000 0.0000 0.5000
O 0.0000 0.0000 0.2497
O 0.0000 0.0000 0.7503
O 0.0000 0.2488 0.0000
O 0.0000 0.2486 0.5000
O 0.0000 0.5000 0.2437
O 0.0000 0.5000 0.7563
O 0.0000 0.7512 0.0000
O 0.0000 0.7514 0.5000
O 0.5000 0.0000 0.0000
O 0.5000 0.0000 0.5000
O 0.5000 0.2495 0.2511
O 0.5000 0.2495 0.7489
O 0.5000 0.5000 0.0000
O 0.5000 0.5000 0.5000
O 0.5000 0.7505 0.2511
O 0.5000 0.7505 0.7489
CELL_PARAMETERS angstrom
4.2723 0.0000 0.0000
0.0000 8.5043 0.0000
0.0000 0.0000 8.5377
```

Material: Mg6FeNiO8
Method: DFT, GGA+U
State: optimized geometry Values from VASP.

Calculated values
* total energy: -5.865 eV/atom
* E (MP2020): -6.509 eV/atom
* E above lowest polymorph: 0.018 eV/atom
* ΔH_f (0 K): -2.54 eV/atom

Geometry as Quantum ESPRESSO input:
```
&SYSTEM
  ibrav = 0, nat = 16, ntyp = 4
/
ATOMIC_SPECIES
Mg 24.30 Mg.upf
Fe 55.84 Fe.upf
Ni 58.69 Ni.upf
O 16.00 O.upf
ATOMIC_POSITIONS crystal
Mg 0.0000 0.0000 0.0000
Mg 0.0000 0.5000 0.2502
Mg 0.0000 0.5000 0.7498
Mg 0.5000 0.0000 0.2502
Mg 0.5000 0.0000 0.7498
Mg 0.5000 0.5000 0.0000
Fe 0.0000 0.0000 0.5000
Ni 0.5000 0.5000 0.5000
O 0.0000 0.0000 0.2438
O 0.0000 0.0000 0.7562
O 0.0000 0.5000 0.0000
O 0.0000 0.5000 0.5000
O 0.5000 0.0000 0.0000
O 0.5000 0.0000 0.5000
O 0.5000 0.5000 0.2510
O 0.5000 0.5000 0.7490
CELL_PARAMETERS angstrom
4.2572 0.0000 0.0000
0.0000 4.2572 0.0000
0.0000 0.0000 8.5732
```

Material: MgFe7Ni6O16
Method: DFT, GGA+U
State: optimized geometry Values from VASP.

Calculated values
* total energy: -5.829 eV/atom
* E (MP2020): -7.230 eV/atom
* E above lowest polymorph: 0.033 eV/atom
* ΔH_f (0 K): -1.41 eV/atom

Geometry as Quantum ESPRESSO input:
```
&SYSTEM
  ibrav = 0, nat = 30, ntyp = 4
/
ATOMIC_SPECIES
Mg 24.30 Mg.upf
Fe 55.84 Fe.upf
Ni 58.69 Ni.upf
O 16.00 O.upf
ATOMIC_POSITIONS crystal
Mg 0.0000 0.0000 0.0000
Fe 0.0063 0.5041 0.5370
Fe 0.0188 0.5062 0.0365
Fe 0.0777 0.0777 0.2506
Fe 0.4408 0.4408 0.3500
Fe 0.5041 0.0063 0.5370
Fe 0.5062 0.0188 0.0365
Fe 0.7480 0.7480 0.2724
Ni 0.0057 0.0057 0.5333
Ni 0.2595 0.2595 0.7811
Ni 0.2702 0.7514 0.7741
Ni 0.5056 0.5056 0.0306
Ni 0.7514 0.2702 0.7741
Ni 0.7518 0.7518 0.7768
O 0.1113 0.6332 0.4121
O 0.1326 0.1326 0.8976
O 0.1339 0.6310 0.8981
O 0.1438 0.1438 0.4405
O 0.3751 0.8763 0.1358
O 0.3766 0.3766 0.6569
O 0.3821 0.3821 0.1525
O 0.3823 0.8999 0.6613
O 0.6310 0.1339 0.8981
O 0.6332 0.1113 0.4121
O 0.6337 0.6337 0.9023
O 0.6393 0.6393 0.4194
O 0.8763 0.3751 0.1358
O 0.8781 0.8781 0.6522
O 0.8790 0.8790 0.1330
O 0.8999 0.3823 0.6613
CELL_PARAMETERS angstrom
5.2111 -3.0086 0.0000
5.2111 3.0086 0.0000
-3.4769 0.0000 10.0511
```

Material: MgFe2O4
Method: DFT, GGA+U
State: optimized geometry Values from VASP.

Calculated values
* total energy: -6.493 eV/atom
* E (MP2020): -7.531 eV/atom
* E above lowest polymorph: 0.047 eV/atom
* ΔH_f (0 K): -2.05 eV/atom

Geometry as Quantum ESPRESSO input:
```
&SYSTEM
  ibrav = 0, nat = 42, ntyp = 3
/
ATOMIC_SPECIES
Mg 24.30 Mg.upf
Fe 55.84 Fe.upf
O 16.00 O.upf
ATOMIC_POSITIONS crystal
Mg 0.0000 0.0000 0.0000
Mg 0.1693 0.1693 0.1644
Mg 0.3319 0.3319 0.7065
Mg 0.3387 0.3387 0.3284
Mg 0.5022 0.5022 0.4965
Mg 0.8354 0.8354 0.8329
Fe 0.0073 0.0073 0.6233
Fe 0.0068 0.5002 0.4960
Fe 0.1691 0.6692 0.1645
Fe 0.3391 0.8360 0.8331
Fe 0.3421 0.3421 0.9564
Fe 0.5002 0.0068 0.4960
Fe 0.6640 0.6640 0.0463
Fe 0.6692 0.1691 0.1645
Fe 0.6698 0.6698 0.6690
Fe 0.6743 0.6743 0.2846
Fe 0.8360 0.3391 0.8331
Fe 0.9965 0.9965 0.3711
O 0.0049 0.0049 0.7544
O 0.0227 0.5047 0.2423
O 0.1629 0.1629 0.9129
O 0.1653 0.6863 0.9118
O 0.1732 0.6535 0.4165
O 0.1751 0.1751 0.4155
O 0.3146 0.8340 0.0875
O 0.3311 0.3311 0.5695
O 0.3432 0.3432 0.0906
O 0.3569 0.8287 0.5795
O 0.4955 0.4955 0.2395
O 0.5047 0.0227 0.2423
O 0.5110 0.9732 0.7515
O 0.5143 0.5143 0.7524
O 0.6535 0.1732 0.4165
O 0.6667 0.6667 0.9130
O 0.6725 0.6725 0.4194
O 0.6863 0.1653 0.9118
O 0.8272 0.8272 0.5790
O 0.8287 0.3569 0.5795
O 0.8340 0.3146 0.0875
O 0.8435 0.8435 0.0903
O 0.9732 0.5110 0.7515
O 0.9953 0.9953 0.2381
CELL_PARAMETERS angstrom
5.1753 -3.0013 0.0000
5.1753 3.0013 0.0000
-0.0062 0.0000 14.6308
```

Material: MgFe2O4
Method: DFT, GGA+U
State: optimized geometry Values from VASP.

Calculated values
* total energy: -6.398 eV/atom
* E (MP2020): -7.435 eV/atom
* E above lowest polymorph: 0.142 eV/atom
* ΔH_f (0 K): -1.96 eV/atom

Geometry as Quantum ESPRESSO input:
```
&SYSTEM
  ibrav = 0, nat = 28, ntyp = 3
/
ATOMIC_SPECIES
Mg 24.30 Mg.upf
Fe 55.84 Fe.upf
O 16.00 O.upf
ATOMIC_POSITIONS crystal
Mg 0.0000 0.0929 0.0000
Mg 0.0000 0.9071 0.5000
Mg 0.5000 0.4007 0.5059
Mg 0.5000 0.5993 0.0059
Fe 0.0000 0.1326 0.3191
Fe 0.0000 0.3497 0.8342
Fe 0.0000 0.6503 0.3342
Fe 0.0000 0.8674 0.8191
Fe 0.5000 0.1462 0.6686
Fe 0.5000 0.3651 0.1846
Fe 0.5000 0.6349 0.6846
Fe 0.5000 0.8538 0.1686
O 0.0000 0.0358 0.7186
O 0.0000 0.2737 0.6254
O 0.0000 0.3246 0.3429
O 0.0000 0.4313 0.0432
O 0.0000 0.5687 0.5432
O 0.0000 0.6754 0.8429
O 0.0000 0.7263 0.1254
O 0.0000 0.9642 0.2186
O 0.5000 0.0702 0.4633
O 0.5000 0.1745 0.1602
O 0.5000 0.2118 0.8746
O 0.5000 0.4634 0.7775
O 0.5000 0.5366 0.2775
O 0.5000 0.7882 0.3746
O 0.5000 0.8255 0.6602
O 0.5000 0.9298 0.9633
CELL_PARAMETERS angstrom
2.9400 0.0000 0.0000
0.0000 10.4437 0.0000
0.0000 0.0000 8.9994
```